Pb2Au: optimized geometry, r2SCAN.

Cell lengths 7.421, 7.432, 5.715 Å; angles 90.00, 90.00, 90.00 degrees
Space group Ibam (No. 72)
Asymmetric unit:
Pb (0.160, 0.160, 0.000) x8
Au (0.000, 0.500, 0.250) x4

Calculated values
Spin magnetization = 0.0 Bohr magnetons per cell
Uncorrected energy = -54.474 eV/atom
ρ = 12.88 g/cm³
Energy of formation from the pure elements = -0.089 eV per atom